First-principles (GGA-PBE) data for crystalline Ca2VN3 at its relaxed geometry, as listed in the Materials Project.

Cell: 5.9424 5.9424 11.6472 Å, 90.98 90.98 123.36°
Closest atoms and distances in Å follow each position.
Sites, in units of the cell vectors:
Ca (0.0403, 0.4461, 0.8530)  4 N 2.45-2.70
Ca (0.1140, 0.3391, 0.4228)  6 N 2.43-2.60
Ca (0.3391, 0.1140, 0.9228)  6 N 2.43-2.60
Ca (0.4461, 0.0403, 0.3530)  4 N 2.45-2.70
Ca (0.5539, 0.9597, 0.6470)  4 N 2.45-2.70
Ca (0.6609, 0.8860, 0.0772)  6 N 2.43-2.60
Ca (0.8860, 0.6609, 0.5772)  6 N 2.43-2.60
Ca (0.9597, 0.5539, 0.1470)  4 N 2.45-2.70
V (0.2665, 0.2667, 0.1623)  4 N 1.76-1.88
V (0.2667, 0.2665, 0.6623)  4 N 1.76-1.88
V (0.7333, 0.7335, 0.3377)  4 N 1.76-1.88
V (0.7335, 0.7333, 0.8377)  4 N 1.76-1.88
N (0.0057, 0.9943, 0.7500)  2 V 1.85
N (0.1221, 0.3076, 0.0376)  1 V 1.76
N (0.1607, 0.4873, 0.6284)  1 V 1.79
N (0.3076, 0.1221, 0.5376)  1 V 1.76
N (0.4117, 0.5883, 0.2500)  2 V 1.88
N (0.4873, 0.1607, 0.1284)  1 V 1.79
N (0.5127, 0.8393, 0.8716)  1 V 1.79
N (0.5883, 0.4117, 0.7500)  2 V 1.88
N (0.6924, 0.8779, 0.4624)  1 V 1.76
N (0.8393, 0.5127, 0.3716)  1 V 1.79
N (0.8779, 0.6924, 0.9624)  1 V 1.76
N (0.9943, 0.0057, 0.2500)  2 V 1.85

Computed properties:
Energy of formation from the pure elements ... -8.2 eV per formula unit
Raw total energy ... -45.22 eV/f.u.
MP2020-corrected energy ... -185.21 eV/cell